# Na14Zn4Ga4Si5S7O48, relaxed, DFT PBE
# Crystal system = triclinic
# ρ = 3.2 g/cm³
# Calculated total energy = -0.2153 hartree per atom
# Space-group type = P1 (1)
# E_form = -2245 meV/atom
data_Na14Zn4Ga4Si5S7O48
_chemical_formula_sum 'Na42 Zn12 Ga12 Si15 S21 O144'
_cell_length_a 8.963
_cell_length_b 15.726
_cell_length_c 21.965
_cell_angle_alpha 90.18
_cell_angle_beta 90.07
_cell_angle_gamma 90.02
_space_group_name_H-M_alt 'P 1'
_space_group_IT_number 1
loop_
_space_group_symop_operation_xyz
'x,y,z'
loop_
_atom_site_label
_atom_site_type_symbol
_atom_site_fract_x
_atom_site_fract_y
_atom_site_fract_z
Na1 Na 0.000 0.000 0.000
Na2 Na 0.001 0.970 0.325
Na3 Na 0.006 0.671 0.666
Na4 Na 0.008 0.304 0.679
Na5 Na 0.016 0.641 0.001
Na6 Na 0.129 0.802 0.167
Na7 Na 0.134 0.134 0.498
Na8 Na 0.138 0.168 0.160
Na9 Na 0.142 0.472 0.832
Na10 Na 0.146 0.508 0.502
Na11 Na 0.173 0.154 0.835
Na12 Na 0.184 0.826 0.489
Na13 Na 0.207 0.490 0.164
Na14 Na 0.309 0.331 0.249
Na15 Na 0.315 0.985 0.917
Na16 Na 0.316 0.652 0.079
Na17 Na 0.322 0.330 0.754
Na18 Na 0.330 0.978 0.413
Na19 Na 0.333 0.647 0.580
Na20 Na 0.433 0.490 0.669
Na21 Na 0.454 0.825 0.992
Na22 Na 0.465 0.149 0.332
Na23 Na 0.494 0.477 0.322
Na24 Na 0.497 0.508 0.001
Na25 Na 0.508 0.808 0.669
Na26 Na 0.509 0.169 0.666
Na27 Na 0.630 0.671 0.159
Na28 Na 0.633 0.307 0.165
Na29 Na 0.642 0.005 0.501
Na30 Na 0.646 0.974 0.829
Na31 Na 0.674 0.652 0.840
Na32 Na 0.682 0.327 0.493
Na33 Na 0.706 0.988 0.164
Na34 Na 0.808 0.144 0.078
Na35 Na 0.814 0.480 0.915
Na36 Na 0.818 0.143 0.584
Na37 Na 0.820 0.492 0.414
Na38 Na 0.820 0.829 0.249
Na39 Na 0.830 0.831 0.752
Na40 Na 0.935 0.989 0.667
Na41 Na 0.957 0.326 0.989
Na42 Na 0.970 0.655 0.331
Zn1 Zn 0.305 0.640 0.738
Zn2 Zn 0.311 0.342 0.597
Zn3 Zn 0.317 0.645 0.239
Zn4 Zn 0.320 0.648 0.932
Zn5 Zn 0.320 0.985 0.566
Zn6 Zn 0.336 0.336 0.096
Zn7 Zn 0.806 0.838 0.597
Zn8 Zn 0.817 0.137 0.425
Zn9 Zn 0.820 0.487 0.065
Zn10 Zn 0.823 0.145 0.741
Zn11 Zn 0.834 0.140 0.234
Zn12 Zn 0.851 0.845 0.090
Ga1 Ga 0.307 0.334 0.896
Ga2 Ga 0.315 0.646 0.424
Ga3 Ga 0.317 0.983 0.766
Ga4 Ga 0.319 0.987 0.060
Ga5 Ga 0.320 0.966 0.271
Ga6 Ga 0.327 0.336 0.401
Ga7 Ga 0.810 0.498 0.565
Ga8 Ga 0.824 0.470 0.775
Ga9 Ga 0.830 0.146 0.925
Ga10 Ga 0.830 0.485 0.264
Ga11 Ga 0.832 0.844 0.907
Ga12 Ga 0.833 0.835 0.395
Si1 Si 0.040 0.991 0.166
Si2 Si 0.099 0.489 0.665
Si3 Si 0.125 0.819 0.002
Si4 Si 0.162 0.500 0.332
Si5 Si 0.163 0.470 0.002
Si6 Si 0.175 0.796 0.334
Si7 Si 0.476 0.479 0.498
Si8 Si 0.477 0.504 0.832
Si9 Si 0.533 0.491 0.167
Si10 Si 0.608 0.991 0.666
Si11 Si 0.660 0.001 0.331
Si12 Si 0.666 0.980 0.998
Si13 Si 0.967 0.297 0.834
Si14 Si 0.976 0.973 0.501
Si15 Si 0.979 0.000 0.830
S1 S 0.015 0.659 0.831
S2 S 0.026 0.321 0.499
S3 S 0.125 0.162 0.334
S4 S 0.174 0.838 0.665
S5 S 0.176 0.138 0.664
S6 S 0.177 0.177 0.000
S7 S 0.464 0.183 0.498
S8 S 0.466 0.135 0.165
S9 S 0.468 0.804 0.830
S10 S 0.470 0.842 0.163
S11 S 0.522 0.156 0.832
S12 S 0.530 0.815 0.497
S13 S 0.611 0.316 0.997
S14 S 0.620 0.657 0.332
S15 S 0.673 0.303 0.334
S16 S 0.673 0.343 0.662
S17 S 0.674 0.637 0.666
S18 S 0.681 0.681 0.998
S19 S 0.964 0.675 0.500
S20 S 0.965 0.636 0.166
S21 S 0.967 0.338 0.167
O1 O 0.008 0.170 0.998
O2 O 0.008 0.840 0.946
O3 O 0.009 0.824 0.664
O4 O 0.011 0.149 0.666
O5 O 0.028 0.155 0.389
O6 O 0.035 0.794 0.064
O7 O 0.036 0.176 0.278
O8 O 0.102 0.673 0.774
O9 O 0.111 0.306 0.556
O10 O 0.112 0.649 0.885
O11 O 0.130 0.323 0.165
O12 O 0.130 0.647 0.168
O13 O 0.132 0.331 0.446
O14 O 0.132 0.668 0.500
O15 O 0.145 0.981 0.228
O16 O 0.146 0.006 0.106
O17 O 0.153 0.304 0.838
O18 O 0.160 0.981 0.503
O19 O 0.164 0.997 0.823
O20 O 0.181 0.563 0.391
O21 O 0.190 0.407 0.942
O22 O 0.199 0.897 0.718
O23 O 0.200 0.741 0.272
O24 O 0.204 0.402 0.665
O25 O 0.204 0.576 0.665
O26 O 0.205 0.088 0.608
O27 O 0.212 0.225 0.056
O28 O 0.213 0.082 0.332
O29 O 0.221 0.909 0.004
O30 O 0.231 0.875 0.608
O31 O 0.232 0.235 0.340
O32 O 0.234 0.093 0.719
O33 O 0.234 0.218 0.944
O34 O 0.234 0.431 0.064
O35 O 0.236 0.895 0.333
O36 O 0.237 0.739 0.990
O37 O 0.239 0.089 0.000
O38 O 0.243 0.563 0.995
O39 O 0.243 0.750 0.395
O40 O 0.246 0.407 0.342
O41 O 0.249 0.535 0.272
O42 O 0.251 0.755 0.673
O43 O 0.252 0.222 0.663
O44 O 0.391 0.220 0.160
O45 O 0.392 0.570 0.486
O46 O 0.393 0.444 0.559
O47 O 0.393 0.538 0.770
O48 O 0.394 0.758 0.167
O49 O 0.399 0.409 0.840
O50 O 0.400 0.096 0.496
O51 O 0.401 0.226 0.442
O52 O 0.407 0.894 0.828
O53 O 0.408 0.097 0.222
O54 O 0.410 0.884 0.108
O55 O 0.411 0.764 0.886
O56 O 0.421 0.230 0.841
O57 O 0.423 0.231 0.554
O58 O 0.427 0.742 0.493
O59 O 0.428 0.076 0.829
O60 O 0.429 0.577 0.171
O61 O 0.430 0.755 0.774
O62 O 0.432 0.402 0.168
O63 O 0.440 0.079 0.112
O64 O 0.440 0.896 0.496
O65 O 0.446 0.897 0.218
O66 O 0.459 0.410 0.441
O67 O 0.460 0.568 0.890
O68 O 0.477 0.998 0.321
O69 O 0.485 0.986 0.006
O70 O 0.496 0.978 0.726
O71 O 0.502 0.322 0.947
O72 O 0.503 0.308 0.335
O73 O 0.508 0.331 0.660
O74 O 0.509 0.652 0.668
O75 O 0.513 0.004 0.603
O76 O 0.515 0.641 0.384
O77 O 0.516 0.672 0.997
O78 O 0.535 0.306 0.057
O79 O 0.540 0.669 0.274
O80 O 0.601 0.170 0.773
O81 O 0.607 0.806 0.557
O82 O 0.629 0.141 0.882
O83 O 0.630 0.179 0.496
O84 O 0.631 0.150 0.168
O85 O 0.631 0.503 0.104
O86 O 0.634 0.830 0.160
O87 O 0.636 0.810 0.832
O88 O 0.638 0.822 0.447
O89 O 0.644 0.477 0.228
O90 O 0.661 0.500 0.822
O91 O 0.662 0.481 0.505
O92 O 0.668 0.062 0.392
O93 O 0.682 0.914 0.939
O94 O 0.693 0.581 0.610
O95 O 0.700 0.397 0.996
O96 O 0.700 0.398 0.716
O97 O 0.708 0.253 0.278
O98 O 0.709 0.902 0.668
O99 O 0.713 0.077 0.670
O100 O 0.715 0.243 0.992
O101 O 0.715 0.577 0.331
O102 O 0.717 0.729 0.054
O103 O 0.720 0.730 0.343
O104 O 0.731 0.262 0.390
O105 O 0.731 0.386 0.606
O106 O 0.731 0.392 0.332
O107 O 0.734 0.596 0.720
O108 O 0.737 0.726 0.942
O109 O 0.740 0.908 0.339
O110 O 0.747 0.260 0.665
O111 O 0.750 0.041 0.273
O112 O 0.750 0.945 0.059
O113 O 0.751 0.595 0.996
O114 O 0.751 0.720 0.659
O115 O 0.755 0.071 0.986
O116 O 0.886 0.718 0.168
O117 O 0.887 0.255 0.175
O118 O 0.891 0.909 0.839
O119 O 0.898 0.036 0.769
O120 O 0.898 0.250 0.894
O121 O 0.900 0.068 0.494
O122 O 0.901 0.586 0.501
O123 O 0.901 0.936 0.563
O124 O 0.906 0.396 0.833
O125 O 0.907 0.716 0.444
O126 O 0.908 0.375 0.110
O127 O 0.908 0.731 0.837
O128 O 0.911 0.590 0.223
O129 O 0.924 0.248 0.491
O130 O 0.926 0.723 0.556
O131 O 0.927 0.578 0.827
O132 O 0.935 0.077 0.166
O133 O 0.935 0.585 0.111
O134 O 0.935 0.905 0.167
O135 O 0.937 0.402 0.500
O136 O 0.938 0.243 0.771
O137 O 0.944 0.397 0.220
O138 O 0.946 0.910 0.442
O139 O 0.961 0.065 0.889
O140 O 0.978 0.496 0.324
O141 O 0.979 0.479 0.003
O142 O 0.989 0.804 0.339
O143 O 0.992 0.478 0.725
O144 O 0.995 0.501 0.602